Record 1
Compound: Sr4La13Cu17O35F16
Source: the Materials Project
Functional: PBE
Structure: optimized geometry

Computed properties:
mass density	6.6	g cm⁻³
size of the total moment	0.00	μB per formula unit
E	-522.00	eV/cell
symmetry	Pmm2 (25)
ΔH_f (0 K)	-2.459	eV per atom

Cell: 3.926 3.943 66.661 Å, 90.00 90.00 90.00°
Fractional coordinates of all 85 atoms:
Sr (0.500, 0.500, 0.912)
Sr (0.500, 0.500, 0.969)
Sr (0.500, 0.500, 0.797)
Sr (0.500, 0.500, 0.854)
La (0.500, 0.500, 0.738)
La (0.500, 0.500, 0.619)
La (0.500, 0.500, 0.678)
La (0.500, 0.500, 0.500)
La (0.500, 0.500, 0.559)
La (0.500, 0.500, 0.382)
La (0.500, 0.500, 0.441)
La (0.500, 0.500, 0.264)
La (0.500, 0.500, 0.323)
La (0.500, 0.500, 0.145)
La (0.500, 0.500, 0.205)
La (0.500, 0.500, 0.085)
La (0.500, 0.500, 0.024)
Cu (0.000, 0.000, 0.999)
Cu (0.000, 0.000, 0.117)
Cu (0.000, 0.000, 0.941)
Cu (0.000, 0.000, 0.882)
Cu (0.000, 0.000, 0.824)
Cu (0.000, 0.000, 0.766)
Cu (0.000, 0.000, 0.706)
Cu (0.000, 0.000, 0.647)
Cu (0.000, 0.000, 0.588)
Cu (0.000, 0.000, 0.529)
Cu (0.000, 0.000, 0.471)
Cu (0.000, 0.000, 0.412)
Cu (0.000, 0.000, 0.353)
Cu (0.000, 0.000, 0.294)
Cu (0.000, 0.000, 0.235)
Cu (0.000, 0.000, 0.176)
Cu (0.000, 0.000, 0.058)
O (0.000, 0.000, 0.970)
O (0.000, 0.000, 0.912)
O (0.000, 0.000, 0.853)
O (0.000, 0.000, 0.794)
O (0.000, 0.000, 0.735)
O (0.000, 0.000, 0.676)
O (0.000, 0.000, 0.618)
O (0.000, 0.000, 0.559)
O (0.000, 0.000, 0.500)
O (0.000, 0.000, 0.441)
O (0.000, 0.000, 0.088)
O (0.000, 0.500, 0.002)
O (0.000, 0.500, 0.882)
O (0.500, 0.000, 0.002)
O (0.500, 0.000, 0.941)
O (0.500, 0.000, 0.823)
O (0.500, 0.000, 0.762)
O (0.500, 0.000, 0.704)
O (0.500, 0.000, 0.646)
O (0.500, 0.000, 0.588)
O (0.500, 0.000, 0.529)
O (0.500, 0.000, 0.471)
O (0.500, 0.000, 0.412)
O (0.000, 0.000, 0.324)
O (0.500, 0.000, 0.353)
O (0.500, 0.000, 0.294)
O (0.000, 0.000, 0.382)
O (0.000, 0.000, 0.265)
O (0.000, 0.000, 0.206)
O (0.500, 0.000, 0.236)
O (0.500, 0.000, 0.177)
O (0.500, 0.000, 0.119)
O (0.500, 0.000, 0.061)
O (0.000, 0.000, 0.030)
O (0.000, 0.000, 0.147)
F (0.000, 0.500, 0.941)
F (0.000, 0.500, 0.823)
F (0.000, 0.500, 0.763)
F (0.000, 0.500, 0.705)
F (0.000, 0.500, 0.647)
F (0.000, 0.500, 0.588)
F (0.000, 0.500, 0.529)
F (0.000, 0.500, 0.471)
F (0.000, 0.500, 0.412)
F (0.000, 0.500, 0.353)
F (0.000, 0.500, 0.294)
F (0.000, 0.500, 0.235)
F (0.000, 0.500, 0.177)
F (0.000, 0.500, 0.118)
F (0.000, 0.500, 0.060)
F (0.500, 0.000, 0.882)


Record 2
Compound: Li2Cu2F7
Source: the Materials Project
Functional: PBE
Structure: optimized geometry

Computed properties:
mass density	3.3	g cm⁻³
size of the total moment	3.00	μB per formula unit
E	-94.26	eV/cell
symmetry	P-1 (2)
ΔH_f (0 K)	-2.268	eV per atom

Cell: 5.198 6.716 8.521 Å, 108.85 103.44 86.49°
Fractional coordinates of all 22 atoms:
Li (0.680, 0.243, 0.906)
Li (0.134, 0.011, 0.740)
Li (0.866, 0.989, 0.260)
Li (0.320, 0.757, 0.094)
Cu (0.710, 0.715, 0.819)
Cu (0.185, 0.479, 0.668)
Cu (0.815, 0.521, 0.332)
Cu (0.290, 0.285, 0.181)
F (0.364, 0.183, 0.955)
F (0.058, 0.623, 0.898)
F (0.550, 0.432, 0.777)
F (0.068, 0.209, 0.623)
F (0.343, 0.754, 0.706)
F (0.826, 0.979, 0.816)
F (0.822, 0.585, 0.590)
F (0.178, 0.415, 0.410)
F (0.174, 0.021, 0.184)
F (0.657, 0.246, 0.294)
F (0.932, 0.791, 0.377)
F (0.450, 0.568, 0.223)
F (0.942, 0.377, 0.102)
F (0.636, 0.817, 0.045)


Record 3
Compound: Li2CuF6
Source: the Materials Project
Functional: PBE
Structure: optimized geometry

Computed properties:
mass density	3.3	g cm⁻³
E	-73.26	eV/cell
symmetry	P4_2/mnm (136)
ΔH_f (0 K)	-2.222	eV per atom

Cell: 4.668 4.668 8.944 Å, 90.00 90.00 90.00°
Fractional coordinates of all 18 atoms:
Li (0.500, 0.500, 0.337)
Li (0.500, 0.500, 0.663)
Li (0.000, 0.000, 0.163)
Li (0.000, 0.000, 0.837)
Cu (0.500, 0.500, 0.000)
Cu (0.000, 0.000, 0.500)
F (0.689, 0.311, 0.155)
F (0.689, 0.311, 0.845)
F (0.714, 0.286, 0.500)
F (0.786, 0.786, 0.000)
F (0.811, 0.811, 0.345)
F (0.811, 0.811, 0.655)
F (0.189, 0.189, 0.345)
F (0.189, 0.189, 0.655)
F (0.214, 0.214, 0.000)
F (0.286, 0.714, 0.500)
F (0.311, 0.689, 0.155)
F (0.311, 0.689, 0.845)


Record 4
Compound: Li6Cu5F14
Source: the Materials Project
Functional: PBE
Structure: optimized geometry

Computed properties:
mass density	3.4	g cm⁻³
size of the total moment	3.00	μB per formula unit
E	-220.04	eV/cell
symmetry	Cmc2_1 (36)
ΔH_f (0 K)	-2.309	eV per atom

Cell: 7.861 7.861 9.868 Å, 90.00 90.00 92.22°
Fractional coordinates of all 50 atoms:
Li (0.011, 0.011, 0.961)
Li (0.176, 0.666, 0.471)
Li (0.205, 0.500, 0.012)
Li (0.316, 0.316, 0.449)
Li (0.334, 0.824, 0.971)
Li (0.500, 0.795, 0.512)
Li (0.500, 0.205, 0.012)
Li (0.666, 0.176, 0.471)
Li (0.684, 0.684, 0.949)
Li (0.795, 0.500, 0.512)
Li (0.824, 0.334, 0.971)
Li (0.989, 0.989, 0.461)
Cu (0.015, 0.373, 0.712)
Cu (0.043, 0.756, 0.747)
Cu (0.244, 0.957, 0.247)
Cu (0.373, 0.015, 0.712)
Cu (0.489, 0.489, 0.738)
Cu (0.511, 0.511, 0.238)
Cu (0.627, 0.985, 0.212)
Cu (0.756, 0.043, 0.747)
Cu (0.957, 0.244, 0.247)
Cu (0.985, 0.627, 0.212)
F (0.006, 0.580, 0.590)
F (0.048, 0.799, 0.352)
F (0.062, 0.062, 0.140)
F (0.133, 0.547, 0.832)
F (0.150, 0.150, 0.391)
F (0.168, 0.722, 0.089)
F (0.201, 0.952, 0.852)
F (0.278, 0.832, 0.589)
F (0.290, 0.526, 0.359)
F (0.325, 0.325, 0.649)
F (0.420, 0.994, 0.090)
F (0.407, 0.407, 0.066)
F (0.453, 0.867, 0.332)
F (0.474, 0.710, 0.859)
F (0.526, 0.290, 0.359)
F (0.547, 0.133, 0.832)
F (0.593, 0.593, 0.566)
F (0.580, 0.006, 0.590)
F (0.675, 0.675, 0.149)
F (0.710, 0.474, 0.859)
F (0.722, 0.168, 0.089)
F (0.799, 0.048, 0.352)
F (0.832, 0.278, 0.589)
F (0.850, 0.850, 0.891)
F (0.867, 0.453, 0.332)
F (0.938, 0.938, 0.640)
F (0.952, 0.201, 0.852)
F (0.994, 0.420, 0.090)


Record 5
Compound: Li2CuF4
Source: the Materials Project
Functional: PBE
Structure: optimized geometry

Computed properties:
mass density	3.0	g cm⁻³
size of the total moment	1.00	μB per formula unit
E	-125.71	eV/cell
symmetry	P4/ncc (130)
ΔH_f (0 K)	-2.529	eV per atom

Cell: 7.873 7.873 5.435 Å, 90.00 90.00 90.00°
Fractional coordinates of all 28 atoms:
Li (0.207, 0.207, 0.250)
Li (0.793, 0.207, 0.750)
Li (0.293, 0.293, 0.750)
Li (0.707, 0.293, 0.250)
Li (0.293, 0.707, 0.250)
Li (0.707, 0.707, 0.750)
Li (0.207, 0.793, 0.750)
Li (0.793, 0.793, 0.250)
Cu (0.500, 0.000, 0.040)
Cu (0.500, 0.000, 0.540)
Cu (0.000, 0.500, 0.460)
Cu (0.000, 0.500, 0.960)
F (0.274, 0.082, 0.549)
F (0.726, 0.082, 0.049)
F (0.418, 0.226, 0.049)
F (0.582, 0.226, 0.549)
F (0.082, 0.274, 0.951)
F (0.918, 0.274, 0.451)
F (0.226, 0.418, 0.451)
F (0.774, 0.418, 0.951)
F (0.226, 0.582, 0.951)
F (0.774, 0.582, 0.451)
F (0.918, 0.726, 0.951)
F (0.082, 0.726, 0.451)
F (0.418, 0.774, 0.549)
F (0.582, 0.774, 0.049)
F (0.274, 0.918, 0.049)
F (0.726, 0.918, 0.549)


Record 6
Compound: Li2CuF4
Source: the Materials Project
Functional: PBE
Structure: optimized geometry

Computed properties:
mass density	3.5	g cm⁻³
size of the total moment	1.00	μB per formula unit
E	-63.35	eV/cell
symmetry	Cmce (64)
ΔH_f (0 K)	-2.564	eV per atom

Cell: 5.151 5.151 5.872 Å, 90.00 90.00 110.49°
Fractional coordinates of all 14 atoms:
Li (0.502, 0.002, 0.250)
Li (0.998, 0.498, 0.750)
Li (0.002, 0.502, 0.250)
Li (0.498, 0.998, 0.750)
Cu (0.000, 0.000, 0.000)
Cu (0.500, 0.500, 0.500)
F (0.768, 0.232, 0.000)
F (0.732, 0.268, 0.500)
F (0.234, 0.234, 0.767)
F (0.266, 0.266, 0.267)
F (0.734, 0.734, 0.733)
F (0.766, 0.766, 0.233)
F (0.268, 0.732, 0.500)
F (0.232, 0.768, 0.000)


Record 7
Compound: LiCuF2
Source: the Materials Project
Functional: PBE
Structure: optimized geometry

Computed properties:
mass density	4.1	g cm⁻³
E	-17.93	eV/cell
symmetry	R-3m (166)
ΔH_f (0 K)	-2.255	eV per atom

Cell: 6.112 6.112 6.112 Å, 27.97 27.97 27.97°
Fractional coordinates of all 4 atoms:
Li (0.500, 0.500, 0.500)
Cu (0.000, 0.000, 0.000)
F (0.105, 0.105, 0.105)
F (0.895, 0.895, 0.895)


Record 8
Compound: Li3Cu2F7
Source: the Materials Project
Functional: PBE
Structure: optimized geometry

Computed properties:
mass density	3.5	g cm⁻³
size of the total moment	2.00	μB per formula unit
E	-213.27	eV/cell
symmetry	P2_1/c (14)
ΔH_f (0 K)	-2.435	eV per atom

Cell: 8.639 7.089 8.937 Å, 77.39 90.00 90.00°
Fractional coordinates of all 48 atoms:
Li (0.691, 0.936, 0.954)
Li (0.809, 0.936, 0.454)
Li (0.167, 0.772, 0.860)
Li (0.846, 0.711, 0.805)
Li (0.333, 0.772, 0.360)
Li (0.654, 0.711, 0.305)
Li (0.346, 0.289, 0.695)
Li (0.667, 0.228, 0.640)
Li (0.154, 0.289, 0.195)
Li (0.833, 0.228, 0.140)
Li (0.191, 0.064, 0.546)
Li (0.309, 0.064, 0.046)
Cu (0.495, 0.813, 0.659)
Cu (0.005, 0.813, 0.159)
Cu (0.073, 0.629, 0.579)
Cu (0.427, 0.629, 0.079)
Cu (0.573, 0.371, 0.921)
Cu (0.927, 0.371, 0.421)
Cu (0.995, 0.187, 0.841)
Cu (0.505, 0.187, 0.341)
F (0.673, 0.929, 0.735)
F (0.921, 0.846, 0.954)
F (0.952, 0.840, 0.612)
F (0.827, 0.929, 0.235)
F (0.393, 0.741, 0.854)
F (0.579, 0.846, 0.454)
F (0.292, 0.800, 0.571)
F (0.548, 0.840, 0.112)
F (0.689, 0.586, 0.945)
F (0.107, 0.741, 0.354)
F (0.208, 0.800, 0.071)
F (0.055, 0.547, 0.800)
F (0.811, 0.586, 0.445)
F (0.555, 0.453, 0.700)
F (0.445, 0.547, 0.300)
F (0.189, 0.414, 0.555)
F (0.945, 0.453, 0.200)
F (0.792, 0.200, 0.929)
F (0.893, 0.259, 0.646)
F (0.311, 0.414, 0.055)
F (0.452, 0.160, 0.888)
F (0.708, 0.200, 0.429)
F (0.421, 0.154, 0.546)
F (0.607, 0.259, 0.146)
F (0.173, 0.071, 0.765)
F (0.048, 0.160, 0.388)
F (0.079, 0.154, 0.046)
F (0.327, 0.071, 0.265)


Record 9
Compound: Li2CuF4
Source: the Materials Project
Functional: PBE
Structure: optimized geometry

Computed properties:
mass density	2.6	g cm⁻³
size of the total moment	1.00	μB per formula unit
E	-186.96	eV/cell
symmetry	R-3 (148)
ΔH_f (0 K)	-2.490	eV per atom

Cell: 8.863 8.863 8.863 Å, 107.01 107.01 107.01°
Fractional coordinates of all 42 atoms:
Li (0.873, 0.274, 0.106)
Li (0.894, 0.127, 0.726)
Li (0.797, 0.389, 0.563)
Li (0.726, 0.894, 0.127)
Li (0.611, 0.437, 0.203)
Li (0.563, 0.797, 0.389)
Li (0.437, 0.203, 0.611)
Li (0.389, 0.563, 0.797)
Li (0.274, 0.106, 0.873)
Li (0.203, 0.611, 0.437)
Li (0.106, 0.873, 0.274)
Li (0.127, 0.726, 0.894)
Cu (0.936, 0.773, 0.536)
Cu (0.464, 0.064, 0.227)
Cu (0.773, 0.536, 0.936)
Cu (0.227, 0.464, 0.064)
Cu (0.536, 0.936, 0.773)
Cu (0.064, 0.227, 0.464)
F (0.711, 0.041, 0.008)
F (0.916, 0.247, 0.585)
F (0.992, 0.289, 0.959)
F (0.753, 0.415, 0.084)
F (0.957, 0.627, 0.662)
F (0.959, 0.992, 0.289)
F (0.633, 0.300, 0.333)
F (0.700, 0.667, 0.367)
F (0.667, 0.367, 0.700)
F (0.373, 0.338, 0.043)
F (0.585, 0.916, 0.247)
F (0.338, 0.043, 0.373)
F (0.662, 0.957, 0.627)
F (0.415, 0.084, 0.753)
F (0.627, 0.662, 0.957)
F (0.333, 0.633, 0.300)
F (0.300, 0.333, 0.633)
F (0.367, 0.700, 0.667)
F (0.041, 0.008, 0.711)
F (0.043, 0.373, 0.338)
F (0.247, 0.585, 0.916)
F (0.008, 0.711, 0.041)
F (0.084, 0.753, 0.415)
F (0.289, 0.959, 0.992)


Record 10
Compound: Li3Cu2F8
Source: the Materials Project
Functional: PBE
Structure: optimized geometry

Computed properties:
mass density	3.3	g cm⁻³
size of the total moment	3.09	μB per formula unit
E	-56.42	eV/cell
symmetry	P1 (1)
ΔH_f (0 K)	-2.375	eV per atom

Cell: 5.449 5.776 6.046 Å, 62.06 68.02 68.04°
Fractional coordinates of all 13 atoms:
Li (0.941, 0.936, 0.040)
Li (0.113, 0.187, 0.485)
Li (0.907, 0.820, 0.536)
Cu (0.529, 0.511, 0.240)
Cu (0.474, 0.496, 0.754)
F (0.334, 0.342, 0.606)
F (0.344, 0.338, 0.157)
F (0.793, 0.215, 0.763)
F (0.825, 0.196, 0.284)
F (0.167, 0.800, 0.721)
F (0.212, 0.802, 0.228)
F (0.654, 0.669, 0.854)
F (0.705, 0.688, 0.332)


> Which value of ΔH_f (0 K) does entry 2 give?

-2.268 eV per atom